1.
VASP calculation (PBE-GGA) on crystalline TcI6O2 at its relaxed geometry.

Geometry as CIF:
```
data_TcI6O2
_symmetry_space_group_name_H-M 'P 4/m n c'
_symmetry_Int_Tables_number 128
_symmetry_space_group_name_Hall '-P 4 2n'
_cell_length_a 7.928
_cell_length_b 7.928
_cell_length_c 8.630
_cell_angle_alpha 90.00
_cell_angle_beta 90.00
_cell_angle_gamma 90.00
loop_
_atom_site_label
_atom_site_type_symbol
_atom_site_fract_x
_atom_site_fract_y
_atom_site_fract_z
_atom_site_occupancy
Tc1 Tc 0.000 0.000 0.000 1
I1 I 0.000 0.000 0.309 1
I2 I 0.108 0.321 0.000 1
O1 O 0.000 0.500 0.250 1
```

Energy with MP2020 corrections ... -2.97 eV per atom
Calculated volume ... 30.1 Å³/atom
Uncorrected energy ... -2.82 eV per atom
Total moment ... 2.46 μB per cell

---

2.
VASP calculation (PBE-GGA) on crystalline TcI6O2 at its relaxed geometry.

Geometry as CIF:
```
data_TcI6O2
_symmetry_space_group_name_H-M 'C 1 c 1'
_symmetry_Int_Tables_number 9
_cell_length_a 12.402
_cell_length_b 13.300
_cell_length_c 9.072
_cell_angle_alpha 90.00
_cell_angle_beta 108.65
_cell_angle_gamma 90.00
loop_
_symmetry_equiv_pos_as_xyz
'x,y,z'
'x,-y,z+1/2'
'x+1/2,y+1/2,z'
'x+1/2,-y+1/2,z+1/2'
loop_
_atom_site_label
_atom_site_type_symbol
_atom_site_fract_x
_atom_site_fract_y
_atom_site_fract_z
_atom_site_occupancy
Tc1 Tc 0.000 0.234 0.000 1
I1 I 0.045 0.247 0.727 1
I2 I 0.108 0.072 0.103 1
I3 I 0.186 0.361 0.033 1
I4 I 0.311 0.372 0.453 1
I5 I 0.352 0.101 0.437 1
I6 I 0.474 0.186 0.769 1
O1 O 0.243 0.438 0.232 1
O2 O 0.283 0.074 0.203 1
```

Energy with MP2020 corrections ... -3.37 eV per atom
Calculated volume ... 39.4 Å³/atom
Uncorrected energy ... -3.22 eV per atom
Total moment ... 4.00 μB per cell

---

3.
VASP calculation (PBE-GGA) on crystalline TcI6O2 at its relaxed geometry.

Geometry as CIF:
```
data_TcI6O2
_symmetry_space_group_name_H-M 'P 1'
_symmetry_Int_Tables_number 1
_cell_length_a 7.446
_cell_length_b 9.795
_cell_length_c 9.850
_cell_angle_alpha 90.39
_cell_angle_beta 95.68
_cell_angle_gamma 90.04
loop_
_symmetry_equiv_pos_as_xyz
'x,y,z'
loop_
_atom_site_label
_atom_site_type_symbol
_atom_site_fract_x
_atom_site_fract_y
_atom_site_fract_z
_atom_site_occupancy
Tc1 Tc 0.000 0.000 0.000 1
Tc2 Tc 0.495 0.526 0.496 1
I1 I 0.002 0.004 0.272 1
I2 I 0.042 0.992 0.730 1
I3 I 0.049 0.284 0.003 1
I4 I 0.177 0.378 0.451 1
I5 I 0.350 0.916 0.027 1
I6 I 0.402 0.787 0.496 1
I7 I 0.499 0.519 0.768 1
I8 I 0.520 0.534 0.223 1
I9 I 0.545 0.244 0.495 1
I10 I 0.686 0.152 0.958 1
I11 I 0.843 0.615 0.511 1
I12 I 0.883 0.745 0.989 1
O1 O 0.464 0.029 0.892 1
O2 O 0.466 0.985 0.182 1
O3 O 0.965 0.502 0.376 1
O4 O 0.971 0.549 0.664 1
```

Energy with MP2020 corrections ... -3.39 eV per atom
Calculated volume ... 39.7 Å³/atom
Uncorrected energy ... -3.24 eV per atom
Total moment ... 6.00 μB per cell

---

4.
VASP calculation (PBE-GGA) on crystalline TeI6O8 at its relaxed geometry.

Geometry as CIF:
```
data_TeI6O8
_symmetry_space_group_name_H-M 'P 1 21/c 1'
_symmetry_Int_Tables_number 14
_cell_length_a 7.734
_cell_length_b 14.099
_cell_length_c 10.349
_cell_angle_alpha 90.00
_cell_angle_beta 125.99
_cell_angle_gamma 90.00
loop_
_symmetry_equiv_pos_as_xyz
'x,y,z'
'-x,-y,-z'
'-x,y+1/2,-z+1/2'
'x,-y+1/2,z+1/2'
loop_
_atom_site_label
_atom_site_type_symbol
_atom_site_fract_x
_atom_site_fract_y
_atom_site_fract_z
_atom_site_occupancy
Te1 Te 0.000 0.000 0.000 1
I1 I 0.172 0.081 0.311 1
I2 I 0.285 0.126 0.969 1
I3 I 0.413 0.639 0.687 1
O1 O 0.205 0.626 0.052 1
O2 O 0.248 0.627 0.949 1
O3 O 0.324 0.572 0.177 1
O4 O 0.470 0.693 0.541 1
```

Calculated volume ... 30.4 Å³/atom
Uncorrected energy ... -3.25 eV per atom
Total moment ... 0.00 μB per cell

---

5.
VASP calculation (PBE-GGA) on crystalline Ti4Te9I4O at its relaxed geometry.

Geometry as CIF:
```
data_Ti4Te9I4O
_symmetry_space_group_name_H-M 'C 1 2/c 1'
_symmetry_Int_Tables_number 15
_cell_length_a 23.063
_cell_length_b 6.330
_cell_length_c 20.103
_cell_angle_alpha 90.00
_cell_angle_beta 123.13
_cell_angle_gamma 90.00
loop_
_symmetry_equiv_pos_as_xyz
'x,y,z'
'-x,-y,-z'
'-x,y,-z+1/2'
'x,-y,z+1/2'
'x+1/2,y+1/2,z'
'-x+1/2,-y+1/2,-z'
'-x+1/2,y+1/2,-z+1/2'
'x+1/2,-y+1/2,z+1/2'
loop_
_atom_site_label
_atom_site_type_symbol
_atom_site_fract_x
_atom_site_fract_y
_atom_site_fract_z
_atom_site_occupancy
Ti1 Ti 0.064 0.060 0.361 1
Ti2 Ti 0.074 0.331 0.234 1
Te1 Te 0.000 0.305 0.750 1
Te2 Te 0.029 0.376 0.430 1
Te3 Te 0.051 0.016 0.125 1
Te4 Te 0.163 0.376 0.401 1
Te5 Te 0.169 0.015 0.328 1
I1 I 0.143 0.176 0.997 1
I2 I 0.163 0.429 0.715 1
O1 O 0.000 0.196 0.250 1
```

Energy with MP2020 corrections ... -4.76 eV per atom
Calculated volume ... 34.1 Å³/atom
Uncorrected energy ... -4.72 eV per atom

---

6.
VASP calculation (PBE-GGA) on crystalline TlIO4 at its relaxed geometry.

Geometry as CIF:
```
data_TlIO4
_symmetry_space_group_name_H-M 'I 41/a'
_symmetry_Int_Tables_number 88
_cell_length_a 5.998
_cell_length_b 5.998
_cell_length_c 13.248
_cell_angle_alpha 90.00
_cell_angle_beta 90.00
_cell_angle_gamma 90.00
loop_
_symmetry_equiv_pos_as_xyz
'x,y,z'
'-x,-y,-z'
'-y+3/4,x+1/4,z+1/4'
'y+3/4,-x+1/4,-z+1/4'
'-x+1/2,-y,z+1/2'
'x+1/2,y,-z+1/2'
'y+3/4,-x+3/4,z+3/4'
'-y+3/4,x+3/4,-z+3/4'
'x+1/2,y+1/2,z+1/2'
'-x+1/2,-y+1/2,-z+1/2'
'-y+1/4,x+3/4,z+3/4'
'y+1/4,-x+3/4,-z+3/4'
'-x,-y+1/2,z'
'x,y+1/2,-z'
'y+1/4,-x+1/4,z+1/4'
'-y+1/4,x+1/4,-z+1/4'
loop_
_atom_site_label
_atom_site_type_symbol
_atom_site_fract_x
_atom_site_fract_y
_atom_site_fract_z
_atom_site_occupancy
Tl1 Tl 0.000 0.250 0.125 1
I1 I 0.000 0.250 0.625 1
O1 O 0.120 0.033 0.702 1
```

Energy with MP2020 corrections ... -4.77 eV per atom
Calculated volume ... 19.9 Å³/atom
Uncorrected energy ... -4.31 eV per atom
Total moment ... 0.00 μB per cell

---

7.
VASP calculation (PBE-GGA) on crystalline TlI3O9 at its relaxed geometry.

Geometry as CIF:
```
data_TlI3O9
_symmetry_space_group_name_H-M 'R -3'
_symmetry_Int_Tables_number 148
_symmetry_space_group_name_Hall '-R 3'
_cell_length_a 10.0245
_cell_length_b 10.0245
_cell_length_c 14.7888
_cell_angle_alpha 90.00
_cell_angle_beta 90.00
_cell_angle_gamma 120.00
loop_
_atom_site_label
_atom_site_type_symbol
_atom_site_fract_x
_atom_site_fract_y
_atom_site_fract_z
_atom_site_occupancy
Tl1 Tl 0.0000 0.0000 0.1757 1
I1 I 0.9997 0.2954 0.4205 1
O1 O 0.0378 0.8472 0.2761 1
O2 O 0.0417 0.2832 0.5405 1
O3 O 0.0521 0.8405 0.9081 1
```

Energy with MP2020 corrections ... -4.81 eV per atom
Calculated volume ... 16.5 Å³/atom
Uncorrected energy ... -4.33 eV per atom

---

8.
VASP calculation (PBE-GGA) on crystalline TmI3O9 at its relaxed geometry.

Geometry as CIF:
```
data_TmI3O9
_symmetry_space_group_name_H-M 'P 1 21/c 1'
_symmetry_Int_Tables_number 14
_cell_length_a 7.144
_cell_length_b 8.582
_cell_length_c 13.503
_cell_angle_alpha 90.00
_cell_angle_beta 100.68
_cell_angle_gamma 90.00
loop_
_symmetry_equiv_pos_as_xyz
'x,y,z'
'-x,-y,-z'
'-x,y+1/2,-z+1/2'
'x,-y+1/2,z+1/2'
loop_
_atom_site_label
_atom_site_type_symbol
_atom_site_fract_x
_atom_site_fract_y
_atom_site_fract_z
_atom_site_occupancy
Tm1 Tm 0.173 0.246 0.145 1
I1 I 0.165 0.707 0.110 1
I2 I 0.268 0.020 0.890 1
I3 I 0.332 0.542 0.857 1
O1 O 0.019 0.533 0.386 1
O2 O 0.037 0.170 0.492 1
O3 O 0.143 0.689 0.823 1
O4 O 0.161 0.525 0.181 1
O5 O 0.229 0.207 0.822 1
O6 O 0.320 0.081 0.022 1
O7 O 0.336 0.036 0.230 1
O8 O 0.363 0.668 0.046 1
O9 O 0.468 0.175 0.638 1
```

Energy with MP2020 corrections ... -5.60 eV per atom
Calculated volume ... 15.6 Å³/atom
Uncorrected energy ... -5.12 eV per atom

---

9.
VASP calculation (PBE-GGA) on crystalline TmIO at its relaxed geometry.

Geometry as CIF:
```
data_TmIO
_symmetry_space_group_name_H-M 'P 4/n m m'
_symmetry_Int_Tables_number 129
_cell_length_a 3.889
_cell_length_b 3.889
_cell_length_c 9.908
_cell_angle_alpha 90.00
_cell_angle_beta 90.00
_cell_angle_gamma 90.00
loop_
_symmetry_equiv_pos_as_xyz
'x,y,z'
'-x,-y,-z'
'-y+1/2,x,z'
'y+1/2,-x,-z'
'-x+1/2,-y+1/2,z'
'x+1/2,y+1/2,-z'
'y,-x+1/2,z'
'-y,x+1/2,-z'
'x+1/2,-y,-z'
'-x+1/2,y,z'
'-y,-x,-z'
'y,x,z'
'-x,y+1/2,-z'
'x,-y+1/2,z'
'y+1/2,x+1/2,-z'
'-y+1/2,-x+1/2,z'
loop_
_atom_site_label
_atom_site_type_symbol
_atom_site_fract_x
_atom_site_fract_y
_atom_site_fract_z
_atom_site_occupancy
Tm1 Tm 0.250 0.250 0.108 1
I1 I 0.250 0.250 0.698 1
O1 O 0.250 0.750 0.000 1
```

Energy with MP2020 corrections ... -6.63 eV per atom
Calculated volume ... 25.0 Å³/atom
Uncorrected energy ... -6.40 eV per atom

---

10.
VASP calculation (PBE-GGA) on crystalline Tm2I2O at its relaxed geometry.

Geometry as CIF:
```
data_Tm2I2O
_symmetry_space_group_name_H-M 'P 4/m m m'
_symmetry_Int_Tables_number 123
_symmetry_space_group_name_Hall '-P 4 2'
_cell_length_a 4.187
_cell_length_b 4.187
_cell_length_c 15.293
_cell_angle_alpha 90.00
_cell_angle_beta 90.00
_cell_angle_gamma 90.00
loop_
_atom_site_label
_atom_site_type_symbol
_atom_site_fract_x
_atom_site_fract_y
_atom_site_fract_z
_atom_site_occupancy
Tm1 Tm 0.000 0.000 0.132 1
I1 I 0.000 0.000 0.315 1
O1 O 0.000 0.000 0.000 1
```

Energy with MP2020 corrections ... -4.50 eV per atom
Calculated volume ... 53.6 Å³/atom
Uncorrected energy ... -4.37 eV per atom
Total moment ... 0.01 μB per cell

---

11.
VASP calculation (PBE-GGA) on crystalline TmI3O11 at its relaxed geometry.

Geometry as CIF:
```
data_TmI3O11
_symmetry_space_group_name_H-M 'P -1'
_symmetry_Int_Tables_number 2
_cell_length_a 6.992
_cell_length_b 7.515
_cell_length_c 10.593
_cell_angle_alpha 94.48
_cell_angle_beta 105.37
_cell_angle_gamma 110.55
loop_
_symmetry_equiv_pos_as_xyz
'x,y,z'
'-x,-y,-z'
loop_
_atom_site_label
_atom_site_type_symbol
_atom_site_fract_x
_atom_site_fract_y
_atom_site_fract_z
_atom_site_occupancy
Tm1 Tm 0.101 0.424 0.289 1
I1 I 0.265 0.727 0.043 1
I2 I 0.278 0.360 0.661 1
I3 I 0.318 0.856 0.575 1
O1 O 0.068 0.622 0.131 1
O2 O 0.092 0.795 0.908 1
O3 O 0.096 0.844 0.640 1
O4 O 0.141 0.720 0.406 1
O5 O 0.221 0.166 0.276 1
O6 O 0.235 0.560 0.747 1
O7 O 0.257 0.219 0.891 1
O8 O 0.292 0.464 0.511 1
O9 O 0.376 0.100 0.535 1
O10 O 0.429 0.543 0.250 1
O11 O 0.439 0.959 0.151 1
```

Energy with MP2020 corrections ... -5.25 eV per atom
Calculated volume ... 16.4 Å³/atom
Uncorrected energy ... -4.74 eV per atom
Total moment ... 8.01 μB per cell

---

12.
VASP calculation (PBE-GGA) on crystalline YIO at its relaxed geometry.

Geometry as CIF:
```
data_YIO
_symmetry_space_group_name_H-M 'R -3 m'
_symmetry_Int_Tables_number 166
_symmetry_space_group_name_Hall '-R 3 2"'
_cell_length_a 3.9465
_cell_length_b 3.9465
_cell_length_c 32.4884
_cell_angle_alpha 90.00
_cell_angle_beta 90.00
_cell_angle_gamma 120.00
loop_
_atom_site_label
_atom_site_type_symbol
_atom_site_fract_x
_atom_site_fract_y
_atom_site_fract_z
_atom_site_occupancy
Y1 Y 0.0000 0.0000 0.2102 1
I1 I 0.0000 0.0000 0.3890 1
O1 O 0.0000 0.0000 0.1400 1
```

Energy with MP2020 corrections ... -7.18 eV per atom
Calculated volume ... 24.3 Å³/atom
Uncorrected energy ... -6.96 eV per atom
Total moment ... 0.00 μB per cell

---

- Which of these has the lowest uncorrected energy?
  YIO